Li2SnPt | r2SCAN | relaxed

Summary:
As for the electronic total energy: -83.84 eV per formula unit. The calculation puts the formation enthalpy at 0 K at -0.709 eV per atom. The total magnetization is 0.0 μB per formula unit.

Cell: 4.4581 4.4581 4.4581 Å, 60.00 60.00 60.00°
Last column: nearest neighbours and their distance in Å.
Positions (direct):
1 Pt 0.7500 0.7500 0.7500  4 Sn 2.73, 4 Li 2.73
2 Li 0.5000 0.5000 0.5000  4 Li 2.73, 4 Pt 2.73
3 Li 0.2500 0.2500 0.2500  4 Sn 2.73, 4 Li 2.73
4 Sn 0.0000 0.0000 0.0000  4 Pt 2.73, 4 Li 2.73

GdN | r2SCAN | relaxed

Summary:
As for the electronic total energy: -56.16 eV per formula unit. The calculation puts the formation enthalpy at 0 K at -1.815 eV per atom. The total magnetization is 7.0 μB per formula unit.

Cell: 3.5192 3.5192 3.5192 Å, 60.00 60.00 60.00°
Last column: nearest neighbours and their distance in Å.
Positions (direct):
1 Gd 0.0000 0.0000 0.0000  6 N 2.49
2 N 0.5000 0.5000 0.5000  6 Gd 2.49

LiGdCl4 | r2SCAN | relaxed

Summary:
As for the electronic total energy: -84.46 eV per formula unit. The calculation puts the formation enthalpy at 0 K at -2.344 eV per atom. The total magnetization is 7.0 μB per formula unit.

Cell: 6.4652 6.4651 8.0200 Å, 113.76 113.77 90.00°
Last column: nearest neighbours and their distance in Å.
Positions (direct):
1 Li 0.1251 0.3749 0.2500  4 Cl 2.38
2 Li 0.8749 0.6251 0.7500  4 Cl 2.38
3 Cl 0.2369 0.5345 0.9100  1 Li 2.38
4 Cl 0.3755 0.7369 0.4100  1 Li 2.38
5 Cl 0.9656 0.8269 0.5900  1 Li 2.38
6 Cl 0.7631 0.4655 0.0900  1 Li 2.38
7 Cl 0.6731 0.8755 0.9099  1 Li 2.38
8 Cl 0.6245 0.2631 0.5900  1 Li 2.38
9 Cl 0.0344 0.1731 0.4100  1 Li 2.38
10 Cl 0.3269 0.1245 0.0901  1 Li 2.38
11 Gd 0.6250 0.8750 0.2500  8 Cl 2.76-2.87
12 Gd 0.3750 0.1250 0.7500  8 Cl 2.76-2.87

LiMoPO5 | r2SCAN | relaxed

Summary:
As for the electronic total energy: -85.94 eV per formula unit. The calculation puts the formation enthalpy at 0 K at -2.327 eV per atom. The total magnetization is 2.0 μB per formula unit.

Cell: 6.5510 7.3547 7.3630 Å, 90.00 90.00 90.00°
Last column: nearest neighbours and their distance in Å.
Positions (direct):
1 O 0.7500 0.6047 0.3255  2 Mo 1.91-1.94
2 O 0.2500 0.5443 0.0232  1 P 1.53
3 O 0.7500 0.1047 0.1745  2 Mo 1.91-1.94
4 O 0.7500 0.3003 0.5151  1 P 1.54
5 O 0.2500 0.8953 0.8255  2 Mo 1.91-1.94
6 O 0.4370 0.3682 0.2617  1 P 1.53
7 O 0.5630 0.1318 0.7617  1 P 1.53
8 O 0.0630 0.8682 0.2383  1 P 1.53
9 O 0.5630 0.6318 0.7383  1 P 1.53
10 O 0.2500 0.3953 0.6745  2 Mo 1.91-1.94
11 O 0.7500 0.9557 0.5232  1 P 1.53
12 O 0.2500 0.6997 0.4849  1 P 1.54
13 O 0.7500 0.4557 0.9768  1 P 1.53
14 O 0.2500 0.1997 0.0151  1 P 1.54
15 O 0.7500 0.8003 0.9849  1 P 1.54
16 O 0.9370 0.6318 0.7383  1 P 1.53
17 O 0.4370 0.8682 0.2383  1 P 1.53
18 O 0.0630 0.3682 0.2617  1 P 1.53
19 O 0.9370 0.1318 0.7617  1 P 1.53
20 O 0.2500 0.0443 0.4768  1 P 1.53
21 Li 0.5000 0.5000 0.5000  6 O 2.05-2.22
22 Li 0.0000 0.0000 0.0000  6 O 2.05-2.22
23 Li 0.0000 0.5000 0.5000  6 O 2.05-2.22
24 Li 0.5000 0.0000 0.0000  6 O 2.05-2.22
25 P 0.7500 0.6294 0.8634  4 O 1.53-1.54
26 P 0.2500 0.8706 0.3634  4 O 1.53-1.54
27 P 0.7500 0.1294 0.6366  4 O 1.53-1.54
28 P 0.2500 0.3706 0.1366  4 O 1.53-1.54
29 Mo 0.2500 0.1418 0.7304  5 O 1.91-2.06
30 Mo 0.7500 0.3582 0.2304  5 O 1.91-2.06
31 Mo 0.2500 0.6418 0.7696  5 O 1.91-2.06
32 Mo 0.7500 0.8582 0.2696  5 O 1.91-2.06

PmAlAg2 | r2SCAN | relaxed

Summary:
As for the electronic total energy: -80.29 eV per formula unit. The calculation puts the formation enthalpy at 0 K at -0.326 eV per atom. The total magnetization is 0.0 μB per formula unit.

Cell: 4.8879 4.8879 4.8879 Å, 60.00 60.00 60.00°
Last column: nearest neighbours and their distance in Å.
Positions (direct):
1 Ag 0.0000 0.0000 0.0000  4 Al 2.99, 4 Pm 2.99
2 Ag 0.5000 0.5000 0.5000  4 Al 2.99, 4 Pm 2.99
3 Al 0.2500 0.2500 0.2500  8 Ag 2.99
4 Pm 0.7500 0.7500 0.7500  8 Ag 2.99

Sm2TlIn | r2SCAN | relaxed

Summary:
As for the electronic total energy: -137.44 eV per formula unit. The calculation puts the formation enthalpy at 0 K at -0.555 eV per atom. The total magnetization is 0.0 μB per formula unit.

Cell: 5.4182 5.4182 5.4182 Å, 60.00 60.00 60.00°
Last column: nearest neighbours and their distance in Å.
Positions (direct):
1 Sm 0.7500 0.7500 0.7500  4 Tl 3.32, 4 In 3.32
2 Sm 0.2500 0.2500 0.2500  4 In 3.32, 4 Tl 3.32
3 In 0.5000 0.5000 0.5000  8 Sm 3.32
4 Tl 0.0000 0.0000 0.0000  8 Sm 3.32

Dy5Mg24 | r2SCAN | relaxed

Summary:
As for the electronic total energy: -261.27 eV per formula unit. The calculation puts the formation enthalpy at 0 K at -0.045 eV per atom. The total magnetization is 0.0 μB per formula unit.

Cell: 9.7100 9.7100 9.7100 Å, 109.47 109.47 109.47°
Last column: nearest neighbours and their distance in Å.
Positions (direct):
1 Mg 0.6779 0.6779 0.2861  5 Mg 2.95-3.30, 1 Dy 3.20
2 Mg 0.3221 0.6082 0.0000  5 Mg 2.95-3.30, 1 Dy 3.20
3 Mg 0.0000 0.6082 0.3221  5 Mg 2.95-3.30, 1 Dy 3.20
4 Mg 0.8188 0.1915 0.1915  6 Mg 2.87-3.16
5 Mg 0.8085 0.6273 0.0000  6 Mg 2.87-3.16
6 Mg 0.3918 0.3918 0.7139  5 Mg 2.95-3.30, 1 Dy 3.20
7 Mg 0.2861 0.6779 0.6779  5 Mg 2.95-3.30, 1 Dy 3.20
8 Mg 0.8085 0.0000 0.6273  6 Mg 2.87-3.16
9 Mg 0.3727 0.1812 0.3727  6 Mg 2.87-3.16
10 Mg 0.6273 0.0000 0.8085  6 Mg 2.87-3.16
11 Mg 0.1915 0.8188 0.1915  6 Mg 2.87-3.16
12 Mg 0.6082 0.3221 0.0000  5 Mg 2.95-3.30, 1 Dy 3.20
13 Mg 0.0000 0.6273 0.8085  6 Mg 2.87-3.16
14 Mg 0.3221 0.0000 0.6082  5 Mg 2.95-3.30, 1 Dy 3.20
15 Mg 0.0000 0.8085 0.6273  6 Mg 2.87-3.16
16 Mg 0.3727 0.3727 0.1812  6 Mg 2.87-3.16
17 Mg 0.1915 0.1915 0.8188  6 Mg 2.87-3.16
18 Mg 0.7139 0.3918 0.3918  5 Mg 2.95-3.30, 1 Dy 3.20
19 Mg 0.0000 0.3221 0.6082  5 Mg 2.95-3.30, 1 Dy 3.20
20 Mg 0.6082 0.0000 0.3221  5 Mg 2.95-3.30, 1 Dy 3.20
21 Mg 0.6273 0.8085 0.0000  6 Mg 2.87-3.16
22 Mg 0.1812 0.3727 0.3727  6 Mg 2.87-3.16
23 Mg 0.6779 0.2861 0.6779  5 Mg 2.95-3.30, 1 Dy 3.20
24 Mg 0.3918 0.7139 0.3918  5 Mg 2.95-3.30, 1 Dy 3.20
25 Dy 0.0000 0.0000 0.3717  12 Mg 3.20-3.56
26 Dy 0.6283 0.6283 0.6283  12 Mg 3.20-3.56
27 Dy 0.0000 0.0000 0.0000  12 Mg 3.47, 4 Dy 3.61
28 Dy 0.3717 0.0000 0.0000  12 Mg 3.20-3.56
29 Dy 0.0000 0.3717 0.0000  12 Mg 3.20-3.56

ZrZnN2 | r2SCAN | relaxed

Summary:
As for the electronic total energy: -54.54 eV per formula unit. The calculation puts the formation enthalpy at 0 K at -1.155 eV per atom. The total magnetization is 0.0 μB per formula unit.

Cell: 3.2813 3.2813 5.2823 Å, 90.00 90.00 120.00°
Last column: nearest neighbours and their distance in Å.
Positions (direct):
1 N 0.3333 0.6667 0.2605  3 Zn 2.14, 3 Zr 2.33
2 N 0.6667 0.3333 0.8173  1 Zn 1.94, 3 Zr 2.13
3 Zn 0.6667 0.3333 0.4500  4 N 1.94-2.14
4 Zr 0.0000 0.0000 0.0021  6 N 2.13-2.33

Number 1: calculated density 8.68 Mg/m³. Number 2: calculated density 9.23 Mg/m³. Number 3: calculated density 3.69 Mg/m³. Number 4: calculated density 4.00 Mg/m³. Number 5: calculated density 7.80 Mg/m³. Number 6: calculated density 9.15 Mg/m³. Number 7: calculated density 3.29 Mg/m³. Number 8: calculated density 6.23 Mg/m³.